Rb2TlAsI6 | PBE | optimized geometry

Values from the calculation:
MP2020-corrected energy = -2.823 eV per atom
Formation energy from the elements = -1.01 eV per atom
Crystal system = cubic
Total magnetic moment = 0.00 μB/f.u.

Unit cell a=8.7262 b=8.7262 c=8.7262 alpha=60.00 beta=60.00 gamma=60.00
Last column: nearest neighbours and their distance in Å.
Fractional coordinates of all 10 atoms:
Tl (0.5000, 0.5000, 0.5000)  6 I 3.29
As (0.0000, 0.0000, 0.0000)  6 I 2.88
Rb (0.2500, 0.2500, 0.2500)  12 I 4.37
Rb (0.7500, 0.7500, 0.7500)  12 I 4.37
I (0.7664, 0.2336, 0.2336)  1 As 2.88
I (0.2336, 0.7664, 0.2336)  1 As 2.88
I (0.7664, 0.2336, 0.7664)  1 As 2.88
I (0.2336, 0.2336, 0.7664)  1 As 2.88
I (0.2336, 0.7664, 0.7664)  1 As 2.88
I (0.7664, 0.7664, 0.2336)  1 As 2.88

***

SbO2 | PBE | optimized geometry

Values from the calculation:
MP2020-corrected energy = -6.511 eV per atom
Formation energy from the elements = -1.84 eV per atom
Crystal system = orthorhombic

Unit cell a=4.9132 b=5.5816 c=11.9139 alpha=90.00 beta=90.00 gamma=90.00
Last column: nearest neighbours and their distance in Å.
Fractional coordinates of all 24 atoms:
Sb (0.2872, 0.2500, 0.5000)  4 O 2.07-2.26
Sb (0.2128, 0.2500, 0.0000)  4 O 2.07-2.26
Sb (0.2500, 0.8801, 0.7500)  6 O 1.99-2.04
Sb (0.7500, 0.1199, 0.2500)  6 O 1.99-2.04
Sb (0.7500, 0.3801, 0.7500)  6 O 1.99-2.04
Sb (0.7128, 0.7500, 0.5000)  4 O 2.07-2.26
Sb (0.2500, 0.6199, 0.2500)  6 O 1.99-2.04
Sb (0.7872, 0.7500, 0.0000)  4 O 2.07-2.26
O (0.5025, 0.6353, 0.8124)  2 Sb 1.99-2.01
O (0.4185, 0.9199, 0.5949)  3 Sb 2.04-2.26
O (0.9185, 0.0801, 0.0949)  3 Sb 2.04-2.26
O (0.0815, 0.5801, 0.0949)  3 Sb 2.04-2.26
O (0.0025, 0.1353, 0.6876)  2 Sb 1.99-2.01
O (0.5025, 0.8647, 0.1876)  2 Sb 1.99-2.01
O (0.0815, 0.9199, 0.9051)  3 Sb 2.04-2.26
O (0.9185, 0.4199, 0.9051)  3 Sb 2.04-2.26
O (0.4975, 0.3647, 0.1876)  2 Sb 1.99-2.01
O (0.5815, 0.4199, 0.5949)  3 Sb 2.04-2.26
O (0.9975, 0.8647, 0.3124)  2 Sb 1.99-2.01
O (0.4975, 0.1353, 0.8124)  2 Sb 1.99-2.01
O (0.9975, 0.6353, 0.6876)  2 Sb 1.99-2.01
O (0.0025, 0.3647, 0.3124)  2 Sb 1.99-2.01
O (0.4185, 0.5801, 0.4051)  3 Sb 2.04-2.26
O (0.5815, 0.0801, 0.4051)  3 Sb 2.04-2.26

***

SmAlPd | PBE | optimized geometry

Values from the calculation:
Formation energy from the elements = -0.84 eV per atom
Crystal system = orthorhombic

Unit cell a=4.5320 b=7.0102 c=7.9070 alpha=90.00 beta=90.00 gamma=90.00
Last column: nearest neighbours and their distance in Å.
Fractional coordinates of all 12 atoms:
Sm (0.2500, 0.0381, 0.3214)  5 Pd 2.88-3.20, 1 Al 3.12
Sm (0.7500, 0.9619, 0.6786)  5 Pd 2.88-3.20, 1 Al 3.12
Sm (0.7500, 0.4619, 0.8214)  5 Pd 2.88-3.20, 1 Al 3.12
Sm (0.2500, 0.5381, 0.1786)  5 Pd 2.88-3.20, 1 Al 3.12
Pd (0.2500, 0.2772, 0.6179)  4 Al 2.60-2.73, 1 Sm 2.88
Pd (0.2500, 0.7772, 0.8821)  4 Al 2.60-2.73, 1 Sm 2.88
Pd (0.7500, 0.2228, 0.1179)  4 Al 2.60-2.73, 1 Sm 2.88
Pd (0.7500, 0.7228, 0.3821)  4 Al 2.60-2.73, 1 Sm 2.88
Al (0.2500, 0.6429, 0.5620)  4 Pd 2.60-2.73
Al (0.7500, 0.3571, 0.4380)  4 Pd 2.60-2.73
Al (0.2500, 0.1429, 0.9380)  4 Pd 2.60-2.73
Al (0.7500, 0.8571, 0.0620)  4 Pd 2.60-2.73

***

Na10Hf4Al4Si7S5O48 | PBE | optimized geometry

Values from the calculation:
MP2020-corrected energy = -7.487 eV per atom
Formation energy from the elements = -2.82 eV per atom
Crystal system = triclinic
Total magnetic moment = 0.00 μB/f.u.

Unit cell a=17.7982 b=8.8861 c=22.2993 alpha=89.71 beta=91.10 gamma=119.80
Last column: nearest neighbours and their distance in Å.
Fractional coordinates of all 234 atoms:
O (0.3403, 0.5423, 0.5274)  1 S 1.50
O (0.1076, 0.1838, 0.8060)  1 S 1.48
O (0.6792, 0.4910, 0.3606)  1 Si 1.65
O (0.3220, 0.5113, 0.6359)  1 S 1.46
O (0.2489, 0.1355, 0.6471)  1 Si 1.64, 1 Al 1.82
O (0.9320, 0.3138, 0.5263)  1 S 1.50
O (0.2480, 0.3555, 0.4240)  1 Si 1.65
O (0.2647, 0.8478, 0.4726)  1 S 1.47
O (0.4308, 0.3227, 0.5299)  1 S 1.48
O (0.4806, 0.1675, 0.3129)  1 Si 1.63
O (0.4279, 0.5004, 0.4240)  1 Si 1.69
O (0.0776, 0.7002, 0.4785)  1 Si 1.63, 1 Al 1.80
O (0.8280, 0.1349, 0.4231)  1 S 1.49
O (0.8980, 0.8297, 0.9158)  1 S 1.49
O (0.0682, 0.6517, 0.3584)  1 Si 1.64
O (0.7682, 0.6882, 0.9721)  1 S 1.46
O (0.0956, 0.2115, 0.6974)  1 S 1.48
O (0.0941, 0.0099, 0.5890)  1 Si 1.66
O (0.0075, 0.8470, 0.4088)  1 Si 1.63
O (0.1826, 0.4914, 0.3581)  1 Si 1.65
O (0.9068, 0.0205, 0.0882)  1 S 1.51
O (0.7480, 0.3641, 0.1469)  1 Si 1.65, 1 Al 1.82
O (0.5157, 0.8311, 0.6963)  1 Si 1.65
O (0.5098, 0.1694, 0.9063)  1 Si 1.61
O (0.5176, 0.2002, 0.1968)  1 Si 1.63
O (0.0682, 0.6368, 0.0818)  1 S 1.47
O (0.7589, 0.8763, 0.3652)  1 S 1.47
O (0.4275, 0.3592, 0.9215)  1 Si 1.68
O (0.5632, 0.6447, 0.3562)  1 Si 1.65
O (0.0087, 0.1701, 0.9072)  1 Si 1.64
O (0.5762, 0.4795, 0.2562)  1 Si 1.68
O (0.8980, 0.9657, 0.4150)  1 S 1.48
O (0.8520, 0.5499, 0.5228)  1 Si 1.66
O (0.0859, 0.4499, 0.9746)  1 Si 1.62, 1 Al 1.79
O (0.9378, 0.5206, 0.1391)  1 S 1.49
O (0.5804, 0.4557, 0.9742)  1 Si 1.61, 1 Al 1.75
O (0.4913, 0.7975, 0.0885)  1 S 1.48
O (0.5931, 0.2116, 0.6938)  1 S 1.50
O (0.7410, 0.6373, 0.5750)  1 Si 1.64
O (0.5681, 0.6371, 0.0820)  1 S 1.47
O (0.5932, 0.9759, 0.1960)  1 S 1.48
O (0.4014, 0.9846, 0.6895)  1 Si 1.64
O (0.5639, 0.4824, 0.8557)  1 Si 1.66
O (0.7372, 0.1645, 0.5292)  1 Si 1.65
O (0.6545, 0.4586, 0.7556)  1 S 1.49
O (0.4180, 0.8060, 0.3110)  1 Si 1.64
O (0.8141, 0.4825, 0.6374)  1 Si 1.62
O (0.6032, 0.1734, 0.8020)  1 S 1.46
O (0.2597, 0.8295, 0.7549)  1 Si 1.64
O (0.8412, 0.1405, 0.0282)  1 S 1.50
O (0.0738, 0.1855, 0.4102)  1 Si 1.63
O (0.4356, 0.3519, 0.6392)  1 S 1.47
O (0.9182, 0.8071, 0.3107)  1 Si 1.63
O (0.5675, 0.4966, 0.5838)  1 S 1.48
O (0.2398, 0.1526, 0.5288)  1 Si 1.64
O (0.6041, 0.0336, 0.3039)  1 S 1.48
O (0.0951, 0.1737, 0.0878)  1 Si 1.66
O (0.0655, 0.4907, 0.8598)  1 Si 1.63
O (0.7391, 0.3255, 0.0291)  1 Si 1.64
O (0.0742, 0.9674, 0.9113)  1 Si 1.66
O (0.6553, 0.8521, 0.2575)  1 S 1.48
O (0.0790, 0.6804, 0.7543)  1 Si 1.66
O (0.4385, 0.5197, 0.1397)  1 S 1.49
O (0.8251, 0.1417, 0.1366)  1 S 1.47
O (0.3953, 0.9615, 0.4177)  1 S 1.48
O (0.5086, 0.8443, 0.4090)  1 Si 1.63
O (0.7315, 0.2997, 0.7451)  1 S 1.47
O (0.1835, 0.5255, 0.0755)  1 Si 1.64
O (0.9260, 0.3518, 0.9238)  1 Si 1.65
O (0.4299, 0.5378, 0.0305)  1 S 1.48
O (0.1040, 0.0338, 0.3041)  1 S 1.48
O (0.0932, 0.9764, 0.1961)  1 S 1.48
O (0.4059, 0.7934, 0.5865)  1 S 1.51
O (0.9935, 0.1869, 0.5882)  1 S 1.49
O (0.2696, 0.6920, 0.9730)  1 S 1.47
O (0.1788, 0.8740, 0.8568)  1 Si 1.64
O (0.1513, 0.4864, 0.4738)  1 Si 1.63
O (0.0184, 0.2017, 0.1966)  1 Si 1.64
O (0.8293, 0.5221, 0.9242)  1 S 1.50
O (0.2491, 0.6333, 0.5778)  1 S 1.47
O (0.3403, 0.1413, 0.0302)  1 S 1.50
O (0.4812, 0.7909, 0.8132)  1 Si 1.62
O (0.7475, 0.3496, 0.4209)  1 Si 1.64
O (0.8406, 0.1756, 0.7441)  1 Si 1.64
O (0.1552, 0.8524, 0.2574)  1 S 1.48
O (0.0691, 0.5003, 0.5791)  1 S 1.48
O (0.6477, 0.4629, 0.4781)  1 Si 1.64
O (0.2378, 0.3250, 0.0245)  1 Si 1.64
O (0.6794, 0.8454, 0.5761)  1 Si 1.63
O (0.5938, 0.1753, 0.0889)  1 Si 1.65
O (0.2344, 0.2998, 0.7466)  1 S 1.49
O (0.4930, 0.1866, 0.5881)  1 S 1.49
O (0.9915, 0.7982, 0.0876)  1 S 1.49
O (0.9026, 0.9930, 0.6897)  1 Si 1.64
O (0.8458, 0.5182, 0.2449)  1 Si 1.67
O (0.4072, 0.8259, 0.1925)  1 Si 1.62
O (0.7592, 0.8334, 0.7537)  1 Si 1.67
O (0.9378, 0.3619, 0.6343)  1 S 1.46
O (0.2486, 0.8693, 0.0805)  1 S 1.46
O (0.5865, 0.6960, 0.4748)  1 Si 1.61, 1 Al 1.80
O (0.9307, 0.5384, 0.0297)  1 S 1.48
O (0.7466, 0.1375, 0.9253)  1 Si 1.65
O (0.3257, 0.5199, 0.9248)  1 S 1.52
O (0.2503, 0.3620, 0.1443)  1 Si 1.66, 1 Al 1.82
O (0.7609, 0.6405, 0.8639)  1 S 1.47
O (0.9274, 0.4977, 0.4188)  1 Si 1.68
O (0.9150, 0.0226, 0.8102)  1 Si 1.63
O (0.1621, 0.4665, 0.7567)  1 S 1.47
O (0.0128, 0.8239, 0.6938)  1 Si 1.65
O (0.2580, 0.6386, 0.8653)  1 S 1.48
O (0.3988, 0.8288, 0.9147)  1 S 1.46
O (0.2323, 0.1643, 0.2461)  1 S 1.47
O (0.3451, 0.5170, 0.2448)  1 Si 1.67
O (0.0759, 0.4803, 0.2563)  1 Si 1.68
O (0.5727, 0.1784, 0.4087)  1 Si 1.63
O (0.4236, 0.0328, 0.8063)  1 Si 1.61
O (0.3235, 0.1353, 0.1384)  1 S 1.47
O (0.4071, 0.5042, 0.7388)  1 Si 1.64
O (0.2595, 0.6891, 0.2536)  1 Si 1.65
O (0.1789, 0.8361, 0.5775)  1 Si 1.66
O (0.6816, 0.5253, 0.0759)  1 Si 1.64
O (0.9857, 0.7995, 0.8118)  1 Si 1.64
O (0.2597, 0.8802, 0.3642)  1 S 1.47
O (0.3448, 0.1723, 0.7457)  1 Si 1.66, 1 Al 1.84
O (0.9070, 0.8271, 0.1921)  1 Si 1.62
O (0.5770, 0.6733, 0.7554)  1 Si 1.68
O (0.6822, 0.8712, 0.8596)  1 Si 1.66
O (0.5935, 0.0303, 0.5877)  1 Si 1.66
O (0.9119, 0.8162, 0.5896)  1 Si 1.65
O (0.5724, 0.9586, 0.9105)  1 Si 1.62
O (0.2430, 0.1474, 0.9236)  1 Si 1.66
O (0.4070, 0.3090, 0.2386)  1 Si 1.64
O (0.7476, 0.1270, 0.6459)  1 Si 1.64
O (0.9045, 0.5097, 0.7406)  1 Si 1.61
O (0.9813, 0.1691, 0.3128)  1 Si 1.63
O (0.6503, 0.8139, 0.9756)  1 Si 1.63
O (0.4050, 0.0168, 0.0889)  1 S 1.50
O (0.7502, 0.8715, 0.0811)  1 S 1.46
O (0.3274, 0.1348, 0.4240)  1 S 1.50
O (0.7709, 0.8522, 0.4738)  1 S 1.47
O (0.7324, 0.1638, 0.2462)  1 S 1.47
O (0.7591, 0.6881, 0.2541)  1 Si 1.65
O (0.1492, 0.8125, 0.9738)  1 Si 1.64
O (0.9068, 0.3085, 0.2384)  1 Si 1.64
Si (0.5217, 0.3596, 0.9154)  4 O 1.61-1.68
Si (0.9894, 0.6956, 0.7525)  4 O 1.61-1.66
Si (0.6877, 0.0350, 0.5859)  4 O 1.63-1.66
Si (0.3578, 0.7154, 0.2510)  4 O 1.62-1.67
Si (0.9893, 0.2794, 0.2523)  4 O 1.63-1.68
Si (0.0229, 0.6822, 0.4170)  4 O 1.63-1.68
Si (0.1611, 0.9458, 0.9193)  4 O 1.64-1.66
Si (0.8574, 0.0105, 0.7507)  4 O 1.63-1.67
Si (0.0213, 0.3642, 0.9170)  4 O 1.62-1.65
Si (0.1923, 0.0326, 0.5872)  4 O 1.64-1.66
Si (0.6902, 0.3518, 0.0862)  4 O 1.64-1.65
Si (0.6590, 0.9440, 0.9209)  4 O 1.62-1.66
Si (0.1603, 0.3739, 0.4197)  4 O 1.63-1.65
Si (0.6593, 0.3657, 0.4198)  4 O 1.63-1.65
Si (0.5256, 0.6813, 0.4181)  4 O 1.61-1.69
Si (0.4893, 0.6971, 0.7534)  4 O 1.62-1.68
Si (0.3569, 0.9986, 0.7514)  4 O 1.61-1.66
Si (0.1921, 0.3508, 0.0839)  4 O 1.64-1.66
Si (0.8276, 0.6182, 0.5845)  4 O 1.62-1.66
Si (0.4894, 0.2790, 0.2525)  4 O 1.63-1.68
Si (0.8578, 0.7161, 0.2510)  4 O 1.62-1.67
Na (0.6845, 0.9963, 0.7428)  5 O 2.39-2.56
Na (0.8506, 0.0385, 0.9035)  5 O 2.40-2.47
Na (0.1823, 0.9922, 0.7447)  6 O 2.41-2.69
Na (0.0241, 0.0097, 0.4955)  3 O 2.34-2.41
Na (0.8445, 0.3404, 0.8245)  3 O 2.30-2.54
Na (0.5188, 0.9925, 0.4938)  3 O 2.26-2.39
Na (0.3338, 0.3294, 0.3272)  4 O 2.42-2.67
Na (0.1780, 0.6782, 0.6648)  4 O 2.39-2.60
Na (0.9902, 0.6644, 0.9089)  4 O 2.34-2.52
Na (0.0176, 0.7045, 0.5776)  5 O 2.37-2.54
Na (0.8280, 0.9609, 0.5917)  4 O 2.33-2.52
Na (0.6778, 0.6681, 0.1592)  4 O 2.28-2.50
Na (0.4884, 0.6619, 0.9099)  4 O 2.30-2.55
Na (0.4950, 0.6303, 0.2550)  5 O 2.34-2.54
Na (0.8524, 0.6657, 0.4083)  5 O 2.37-2.51
Na (0.9876, 0.3129, 0.4093)  4 O 2.32-2.49
Na (0.1828, 0.3724, 0.2393)  6 O 2.41-2.70
Na (0.1776, 0.6665, 0.1586)  4 O 2.28-2.50
Na (0.3536, 0.6643, 0.4034)  5 O 2.38-2.48
Na (0.6828, 0.3732, 0.2399)  5 O 2.42-2.54
Na (0.4904, 0.3175, 0.4096)  4 O 2.34-2.55
Na (0.0147, 0.0229, 0.9979)  4 O 2.39-2.64
Na (0.5198, 0.0478, 0.9933)  3 O 2.26-2.45
Na (0.1596, 0.2931, 0.9234)  6 O 2.36-2.62
Na (0.3388, 0.3193, 0.8315)  4 O 2.36-2.57
Na (0.6569, 0.3345, 0.5786)  4 O 2.34-2.55
Na (0.8327, 0.3288, 0.3287)  6 O 2.44-2.69
Na (0.9948, 0.6309, 0.2552)  5 O 2.33-2.59
Na (0.4944, 0.3553, 0.7596)  5 O 2.35-2.53
Na (0.6730, 0.6859, 0.6638)  5 O 2.38-2.66
Hf (0.0003, 0.0129, 0.1444)  5 O 1.93-2.15
Hf (0.1619, 0.6705, 0.8121)  4 O 1.95-2.07
Hf (0.4997, 0.0119, 0.1444)  5 O 1.93-2.16
Hf (0.8291, 0.3399, 0.4799)  4 O 1.95-2.13
Hf (0.6642, 0.6570, 0.3128)  5 O 1.94-2.16
Hf (0.3272, 0.3301, 0.4799)  5 O 1.92-2.14
Hf (0.3309, 0.3204, 0.9790)  6 O 1.97-2.18
Hf (0.9998, 0.9923, 0.6475)  5 O 1.92-2.14
Hf (0.4948, 0.9828, 0.6466)  4 O 1.91-2.10
Hf (0.6656, 0.6730, 0.8128)  5 O 1.94-2.16
Hf (0.8253, 0.3230, 0.9800)  5 O 1.91-2.13
Hf (0.1650, 0.6576, 0.3120)  4 O 1.94-2.05
S (0.4803, 0.3406, 0.5861)  4 O 1.47-1.49
S (0.6463, 0.0087, 0.2514)  4 O 1.47-1.48
S (0.3265, 0.0383, 0.0863)  4 O 1.46-1.50
S (0.8117, 0.6706, 0.9200)  4 O 1.46-1.50
S (0.3267, 0.6156, 0.5840)  4 O 1.46-1.51
S (0.3127, 0.6761, 0.9200)  4 O 1.46-1.52
S (0.4821, 0.6227, 0.0853)  4 O 1.47-1.49
S (0.8278, 0.0416, 0.0854)  4 O 1.46-1.51
S (0.1461, 0.0090, 0.2516)  4 O 1.47-1.48
S (0.8121, 0.9539, 0.4198)  4 O 1.47-1.49
S (0.9823, 0.6226, 0.0848)  4 O 1.47-1.49
S (0.1489, 0.2899, 0.7522)  4 O 1.47-1.49
S (0.3102, 0.9517, 0.4202)  4 O 1.47-1.50
S (0.6455, 0.2836, 0.7507)  4 O 1.46-1.50
S (0.9829, 0.3422, 0.5835)  4 O 1.46-1.50
Al (0.9973, 0.9934, 0.8513)  4 O 1.84-1.99
Al (0.6612, 0.6643, 0.5213)  4 O 1.80-1.94
Al (0.6536, 0.6363, 0.0166)  3 O 1.75-1.85
Al (0.1592, 0.6414, 0.0154)  3 O 1.79-1.86
Al (0.4966, 0.9950, 0.8546)  4 O 1.83-1.96
Al (0.3373, 0.3566, 0.1864)  4 O 1.82-1.97
Al (0.5028, 0.0022, 0.3521)  5 O 1.87-2.01
Al (0.8314, 0.3325, 0.6878)  4 O 1.87-1.94
Al (0.1610, 0.6741, 0.5158)  4 O 1.80-1.98
Al (0.8368, 0.3575, 0.1867)  4 O 1.82-1.98
Al (0.3329, 0.3154, 0.6908)  3 O 1.82-1.86
Al (0.0004, 0.0028, 0.3532)  5 O 1.87-2.06